Entry 1:
PBE+U Mn5P6O22, relaxed; magnetization = 41.997 μB/cell; energy of formation from the pure elements = -2.4566 eV per atom; MP2020-corrected energy = -536.4 eV per cell
1.0
6.782 0.000 0.000
0.000 10.717 0.000
0.000 3.429 12.256
O Mn P
44 10 12
Cartesian
2.148 8.536 5.685
1.851 9.707 2.992
4.772 7.262 9.053
3.584 5.358 1.919
2.001 6.806 0.067
2.010 6.884 3.203
3.197 8.788 10.337
3.036 11.693 10.433
4.258 10.540 4.441
5.539 10.968 6.571
1.495 9.115 0.044
1.896 3.757 0.044
2.524 3.606 7.815
0.867 8.964 7.815
1.540 4.349 2.992
6.588 10.716 1.919
3.944 8.393 1.897
4.931 4.439 9.264
4.634 5.610 6.571
0.193 3.430 10.337
6.427 7.811 1.823
5.401 12.620 9.053
1.243 3.178 5.685
4.781 7.340 12.189
5.444 2.015 4.700
6.774 3.590 7.812
3.746 2.453 1.823
1.390 1.448 0.067
5.392 12.698 12.189
5.242 9.797 9.264
5.915 5.182 4.441
2.053 6.773 7.556
3.383 5.197 4.444
6.229 3.034 1.897
1.381 1.526 3.203
0.355 6.335 10.433
0.553 11.111 10.359
0.008 10.556 4.444
1.338 12.131 7.556
5.287 5.031 12.212
4.729 7.373 4.700
4.886 10.389 12.212
2.838 5.753 10.359
3.399 8.948 7.812
5.104 6.070 10.567
3.391 5.358 0.000
3.372 5.415 8.098
0.019 10.774 8.098
5.069 11.428 10.567
3.410 8.730 4.158
6.763 3.372 4.158
1.713 2.718 1.689
0.000 0.000 0.000
1.678 8.076 1.689
1.784 11.392 11.216
4.998 2.753 1.040
4.175 8.688 9.156
5.175 8.112 1.040
1.360 2.896 7.168
1.607 6.034 11.216
5.422 11.250 5.088
4.750 5.891 5.088
2.031 8.255 7.168
5.998 3.329 9.156
0.784 10.816 3.100
2.607 5.458 3.100

Entry 2:
PBE+U LiV3P3O13, relaxed; magnetization = 10.000 μB/cell; energy of formation from the pure elements = -2.6721 eV per atom; MP2020-corrected energy = -326.3 eV per cell
1.0
-3.505 -4.617 -2.596
-0.769 -3.165 6.668
-8.941 4.957 3.255
O P V Li
26 6 6 2
Cartesian
-2.620 -2.265 0.506
-4.694 -1.398 4.940
-8.970 0.713 4.004
-7.638 2.468 4.991
-4.406 -5.749 4.519
-7.890 -0.616 0.092
-6.781 1.391 2.796
-5.742 0.222 6.525
-5.326 -2.209 7.235
-5.578 -5.294 2.336
-10.821 0.580 1.923
-8.809 2.924 2.808
-10.595 -0.561 6.821
-9.746 -1.854 4.800
-12.027 -2.447 5.761
-2.395 -3.405 5.404
-1.696 -2.512 2.873
-8.521 -1.427 2.388
-3.469 -0.972 2.527
-11.519 -0.313 4.455
-6.096 -1.233 1.822
-1.188 -0.378 1.567
-7.119 -1.592 5.506
-4.245 -3.538 3.323
-7.473 -3.047 0.802
-6.434 -4.217 4.531
-7.475 -1.572 1.232
-2.213 -1.512 1.792
-11.002 -1.313 5.535
-5.741 -1.254 6.095
-7.972 1.836 3.612
-5.244 -4.662 3.715
-8.162 -3.169 5.000
-1.753 -2.309 -1.298
0.000 0.000 0.000
-5.054 0.343 2.327
-10.067 -0.627 3.051
-3.149 -2.198 4.276
-9.101 1.216 6.240
-4.114 -4.041 1.087

Entry 3:
PBE+U KMg14CrO16, relaxed; magnetization = 3.000 μB/cell; energy of formation from the pure elements = -2.8190 eV per atom; MP2020-corrected energy = -202.5 eV per cell
1.0
-5.995 0.329 -6.174
-6.178 -0.875 5.953
-0.202 4.336 0.427
Cr Mg O K
1 14 16 1
Cartesian
-3.089 -0.438 2.976
-4.587 2.414 -4.405
-2.998 0.164 -3.087
-6.001 0.030 -3.142
-4.632 2.115 -1.396
-6.087 -0.273 -0.110
-3.042 -0.133 -0.095
-7.744 1.675 1.602
-1.612 1.954 1.669
-9.132 -0.414 -0.125
-1.611 2.251 -1.341
-7.678 1.977 -1.431
-4.698 1.813 1.638
-4.769 1.507 4.711
-6.173 -0.576 2.922
-0.101 2.168 0.214
-7.631 -0.189 -1.700
-6.159 2.195 -2.923
-4.472 -0.633 4.309
-4.543 -0.358 1.479
-3.099 2.333 -2.873
-6.217 1.595 3.129
-9.225 1.760 0.032
-4.346 0.238 -4.476
-6.188 1.895 0.103
-1.706 -0.242 1.644
-7.574 -0.484 1.323
-4.599 -0.063 -1.544
-3.151 2.030 0.175
-1.649 0.090 -1.698
-3.190 1.731 3.190
0.000 0.000 0.000

Entry 4:
PBE+U Na5LiFe2P2C2O14, relaxed; magnetization = 8.000 μB/cell; polymorph energy (0 for the lowest one) = 0 meV/atom; energy of formation from the pure elements = -2.2881 eV per atom; MP2020-corrected energy = -183.5 eV per cell
1.0
-7.640 4.133 2.166
-2.283 -1.330 -4.508
-2.255 -5.646 2.812
Na O Fe P Li C
5 14 2 2 1 2
Cartesian
-2.593 0.711 -0.567
-9.535 -3.575 1.056
-9.219 -0.758 3.047
-3.696 -2.048 0.807
-8.426 -0.802 -0.324
-4.316 -0.146 -2.709
-5.144 -2.223 -1.674
-4.717 -5.018 -1.896
-6.931 -0.631 2.160
-5.345 -2.648 2.360
-7.279 -2.695 0.713
-2.083 -1.571 -0.838
-3.992 -4.312 0.103
-4.851 -0.154 -0.220
-7.994 1.434 0.451
-6.765 -0.220 -1.884
-7.786 2.370 2.497
-7.773 -2.737 3.208
-10.260 -1.388 0.948
-6.013 0.977 1.124
-6.110 -3.837 -0.643
-5.310 -0.668 -1.618
-6.798 -2.191 2.112
-3.115 -2.004 -2.536
-8.505 2.130 1.439
-3.764 -4.958 -1.009

Entry 5:
PBE+U Na6NiO4, relaxed; polymorph energy (0 for the lowest one) = 0 meV/atom; energy of formation from the pure elements = -1.3901 eV per atom; MP2020-corrected energy = -97.6 eV per cell
1.0
-1.548 6.137 4.296
2.129 -6.550 3.319
5.689 1.610 -0.312
Na O Ni
12 8 2
Cartesian
4.032 0.317 3.569
0.928 0.472 3.793
2.525 1.566 1.547
6.226 0.331 5.621
5.886 0.574 1.248
1.631 5.093 4.009
4.635 -2.020 1.922
0.085 3.013 2.535
7.113 -3.206 3.159
4.872 -2.200 4.876
0.318 2.864 5.443
2.857 1.316 5.927
6.037 -0.816 3.362
4.979 2.295 5.281
1.970 2.590 3.805
2.790 -0.926 5.239
4.687 2.468 1.996
3.500 -3.569 3.387
2.536 -0.750 1.963
4.017 5.107 3.845
2.270 -1.952 3.570
3.888 3.089 3.753

Entry 6:
PBE+U Li4Mn3Co3Cu2O16, relaxed; magnetization = 0.542 μB/cell; energy of formation from the pure elements = -1.4261 eV per atom; MP2020-corrected energy = -183.7 eV per cell
1.0
2.869 4.972 0.000
-2.869 4.972 0.000
0.000 0.025 9.550
Mn O Li Co Cu
3 16 4 3 2
Cartesian
1.412 4.151 6.833
0.000 8.267 2.045
-1.412 4.151 6.833
-1.262 2.567 7.939
1.491 5.820 5.801
-1.280 7.350 3.185
1.262 2.567 7.939
1.280 7.350 3.185
0.000 6.637 1.037
0.000 0.035 7.748
-1.491 5.820 5.801
0.000 1.585 1.030
0.000 9.951 2.948
1.494 4.183 0.981
0.000 3.337 5.807
0.000 8.387 5.779
0.000 4.816 7.957
0.000 5.142 3.103
-1.494 4.183 0.981
0.000 6.634 8.592
0.000 0.066 4.716
0.000 3.308 3.766
0.000 0.069 9.531
-1.413 5.817 2.037
1.413 5.817 2.037
0.000 1.696 6.801
0.000 3.330 9.518
0.000 6.644 4.616

Entry 7:
PBE+U Fe2H54N18Cl4O, relaxed; magnetization = 10.002 μB/cell; energy of formation from the pure elements = -0.4352 eV per atom; MP2020-corrected energy = -396.9 eV per cell
1.0
8.454 -0.101 -2.374
-1.805 9.067 -3.702
0.094 0.108 11.134
N H Cl Fe O
18 54 4 2 1
Cartesian
0.608 3.706 2.742
-0.995 8.443 -0.514
6.618 0.898 -1.749
6.263 4.323 -2.589
2.370 6.041 0.170
0.480 4.750 7.648
3.901 7.433 2.538
2.947 7.546 -2.673
4.373 3.033 4.888
5.241 6.914 -0.186
2.842 1.641 2.521
4.632 3.932 0.017
6.135 5.368 2.316
7.738 0.631 5.572
0.125 8.175 6.807
1.502 2.160 5.244
2.112 5.142 5.041
3.796 1.528 7.731
6.248 7.050 0.007
0.392 4.710 2.716
6.564 8.765 -2.619
3.727 3.510 -0.247
3.206 1.993 8.431
1.691 6.512 0.778
6.351 4.364 2.342
4.901 8.943 -5.500
7.288 4.300 -2.550
2.044 7.712 -3.146
1.912 1.225 5.330
3.016 5.564 5.305
6.523 1.125 -0.752
3.538 7.080 -3.373
3.838 1.397 2.483
5.181 6.483 -1.112
4.785 3.952 5.120
-0.544 4.774 7.608
-1.196 7.857 -1.327
4.286 2.502 5.775
0.495 2.023 5.052
2.287 0.790 2.745
4.163 7.165 3.498
7.476 1.262 4.805
3.366 8.476 -2.547
6.019 4.922 -3.391
-0.207 3.215 3.138
5.191 4.062 -0.848
-0.792 7.797 7.092
1.843 0.131 10.558
1.553 5.011 5.906
0.220 7.948 5.811
0.179 0.309 7.677
7.939 1.217 6.386
3.377 0.597 7.605
0.724 4.152 8.449
6.950 5.859 1.920
2.905 7.677 2.576
5.998 3.370 -2.861
6.028 5.669 3.297
1.562 2.590 6.171
0.745 5.703 7.920
1.631 5.845 4.464
4.457 8.284 2.313
4.699 1.361 8.204
5.053 2.562 4.280
1.958 5.122 -0.061
-0.733 7.812 0.254
7.535 1.276 -2.034
2.457 6.572 -0.717
5.112 3.228 0.595
0.716 3.404 1.761
4.831 7.848 -0.272
2.580 1.908 1.560
1.374 2.783 -0.463
5.370 6.291 5.521
6.531 1.837 2.180
0.212 7.237 2.878
2.537 3.437 3.746
4.207 5.637 1.312
3.372 4.537 2.529

Entry 8:
PBE+U Na5Nd11Ti10Mn6O48, relaxed; energy of formation from the pure elements = -3.2388 eV per atom; MP2020-corrected energy = -689.6 eV per cell
1.0
-5.164 1.154 1.571
-2.081 -4.544 -2.605
4.301 -16.423 25.743
O Na Mn Ti Nd
48 5 6 10 11
Cartesian
-0.676 -8.642 15.330
-1.368 -10.951 16.625
-2.986 -3.200 -1.144
-3.533 -2.765 3.725
-1.585 -0.995 0.088
-4.661 -6.611 5.365
-2.341 -11.154 9.381
-4.489 -6.457 8.154
-5.109 -4.899 2.656
-1.949 -17.149 21.856
1.720 -13.250 19.407
-2.605 -4.855 1.463
0.637 -9.140 12.982
-0.437 -13.044 14.334
2.068 -14.929 21.950
-1.462 -19.006 24.779
-3.413 -10.561 14.591
-1.752 -4.538 8.893
-0.058 -16.823 25.957
-0.611 -5.156 3.706
0.467 -9.246 10.150
-1.261 -15.261 15.811
-0.535 -14.951 23.045
-2.925 -13.088 15.540
-0.436 -5.038 6.543
-4.002 -8.980 9.108
-1.514 -8.939 7.899
-2.367 -14.651 21.020
0.415 -15.347 18.207
0.678 -17.161 20.754
-3.429 -7.063 2.944
-2.521 -14.831 18.228
0.433 -12.739 21.751
-5.606 -2.372 1.703
-2.221 -8.708 12.949
-0.657 -11.243 11.775
-2.446 -6.843 10.190
-3.584 -10.712 11.802
2.677 -17.530 22.973
-1.080 -2.603 2.625
-3.298 -4.606 6.507
-1.733 -7.141 5.338
1.545 -13.355 16.575
-2.808 -0.473 2.457
-0.287 -19.407 22.229
-1.136 -12.828 19.379
0.003 -6.678 9.065
1.080 -10.782 15.501
-3.298 -6.163 12.757
-2.223 -10.275 19.179
0.463 -17.089 23.612
-4.382 -2.073 6.327
-3.180 -18.761 23.123
-3.490 -11.358 16.379
-5.653 -3.170 3.501
-1.549 -3.530 7.215
-0.470 -7.629 13.653
0.620 -11.733 20.075
-4.567 -7.251 9.944
-0.836 -18.275 20.844
-2.077 -1.550 4.079
-0.334 -20.249 23.950
1.117 -10.396 11.528
-2.969 -13.360 19.527
0.088 -9.745 16.957
-0.988 -5.640 10.525
-5.122 -5.143 6.660
-1.786 -17.394 25.964
-2.285 -15.438 22.896
-3.218 -2.532 1.208
0.348 -13.526 12.024
-1.071 -10.729 14.086
-1.793 -5.366 -0.852
1.458 -17.638 18.440
-0.728 -9.422 5.587
-2.147 -6.623 7.648
0.010 -14.815 20.514
-1.882 -9.115 10.639
-2.960 -5.026 4.196
-0.801 -13.222 17.066